<one>
# Li2MoO3, relaxed, DFT PBE+U
# Volume ... 475 Å³/cell
# Calculated density ... 4.42 g/cm³
data_Li2MoO3
_chemical_formula_sum 'Li16 Mo8 O24'
_cell_length_a 6.064
_cell_length_b 18.160
_cell_length_c 16.095
_cell_angle_alpha 19.20
_cell_angle_beta 55.27
_cell_angle_gamma 59.92
_symmetry_space_group_name_H-M 'P 1'
_symmetry_Int_Tables_number 1
_symmetry_space_group_name_Hall 'P 1'
loop_
_atom_site_label
_atom_site_fract_x
_atom_site_fract_y
_atom_site_fract_z
Li1 0.490 0.650 0.013
Li2 0.979 0.486 0.018
Li3 0.501 0.505 0.993
Li4 0.014 0.667 0.494
Li5 0.992 0.332 0.503
Li6 0.500 0.332 0.999
Li7 0.988 0.002 0.499
Li8 0.493 0.168 0.502
Li9 0.497 0.491 0.519
Li10 0.011 0.654 0.011
Li11 0.008 0.333 0.993
Li12 0.508 0.010 0.997
Li13 0.505 0.181 0.981
Li14 0.020 0.186 0.975
Li15 0.993 0.831 0.006
Li16 0.978 0.002 0.009
O1 0.263 0.436 0.731
O2 0.748 0.401 0.272
O3 0.241 0.396 0.271
O4 0.763 0.738 0.266
O5 0.261 0.265 0.728
O6 0.738 0.080 0.262
O7 0.755 0.596 0.740
O8 0.748 0.437 0.724
O9 0.233 0.571 0.769
O10 0.737 0.583 0.248
O11 0.262 0.747 0.245
O12 0.754 0.083 0.747
O13 0.250 0.914 0.257
O14 0.251 0.913 0.752
O15 0.266 0.777 0.724
O16 0.232 0.071 0.266
O17 0.738 0.913 0.255
O18 0.751 0.921 0.754
O19 0.241 0.245 0.258
O20 0.740 0.768 0.726
O21 0.253 0.581 0.247
O22 0.771 0.263 0.734
O23 0.714 0.227 0.276
O24 0.272 0.080 0.753
Mo1 0.497 0.827 0.008
Mo2 0.495 0.832 0.500
Mo3 0.490 0.664 0.506
Mo4 0.999 0.495 0.502
Mo5 0.498 0.334 0.500
Mo6 0.005 0.831 0.499
Mo7 0.020 0.171 0.491
Mo8 0.486 0.011 0.497

=====

<two>
# Li2MoO3, relaxed, DFT PBE+U
# Volume ... 486 Å³/cell
# Calculated density ... 4.31 g/cm³
data_Li2MoO3
_chemical_formula_sum 'Li16 Mo8 O24'
_cell_length_a 6.163
_cell_length_b 8.668
_cell_length_c 10.412
_cell_angle_alpha 113.27
_cell_angle_beta 106.60
_cell_angle_gamma 89.75
_symmetry_space_group_name_H-M 'P 1'
_symmetry_Int_Tables_number 1
_symmetry_space_group_name_Hall 'P 1'
loop_
_atom_site_label
_atom_site_fract_x
_atom_site_fract_y
_atom_site_fract_z
O1 0.180 0.927 0.327
O2 0.846 0.090 0.183
O3 0.680 0.418 0.840
O4 0.145 0.426 0.848
O5 0.672 0.403 0.334
O6 0.663 0.918 0.833
O7 0.328 0.597 0.666
O8 0.650 0.926 0.326
O9 0.507 0.760 0.516
O10 0.834 0.599 0.665
O11 0.350 0.074 0.674
O12 0.166 0.401 0.335
O13 0.494 0.756 0.008
O14 0.506 0.244 0.992
O15 0.003 0.752 0.503
O16 0.320 0.582 0.160
O17 0.337 0.082 0.167
O18 0.997 0.248 0.497
O19 0.855 0.574 0.152
O20 0.018 0.744 0.010
O21 0.493 0.240 0.484
O22 0.154 0.910 0.817
O23 0.820 0.073 0.673
O24 0.982 0.256 0.990
Li1 0.662 0.656 0.319
Li2 0.172 0.175 0.839
Li3 0.500 0.500 0.500
Li4 0.345 0.338 0.160
Li5 0.828 0.825 0.161
Li6 0.655 0.662 0.840
Li7 0.500 0.000 0.000
Li8 0.500 0.000 0.500
Li9 0.000 0.000 0.500
Li10 0.338 0.344 0.681
Li11 0.168 0.663 0.327
Li12 0.500 0.500 0.000
Li13 0.174 0.663 0.837
Li14 0.832 0.337 0.673
Li15 0.000 0.000 0.000
Li16 0.826 0.337 0.163
Mo1 0.666 0.168 0.332
Mo2 0.831 0.834 0.668
Mo3 0.000 0.500 0.500
Mo4 0.334 0.832 0.668
Mo5 0.658 0.173 0.841
Mo6 0.000 0.500 0.000
Mo7 0.342 0.827 0.159
Mo8 0.169 0.166 0.332

=====

<three>
# Li2MoO3, relaxed, DFT PBE+U
# Volume ... 119 Å³/cell
# Calculated density ... 4.40 g/cm³
data_Li2MoO3
_chemical_formula_sum 'Li4 Mo2 O6'
_cell_length_a 5.258
_cell_length_b 5.258
_cell_length_c 5.277
_cell_angle_alpha 80.43
_cell_angle_beta 80.43
_cell_angle_gamma 119.99
_symmetry_space_group_name_H-M 'P 1'
_symmetry_Int_Tables_number 1
_symmetry_space_group_name_Hall 'P 1'
loop_
_atom_site_label
_atom_site_fract_x
_atom_site_fract_y
_atom_site_fract_z
Li1 0.500 0.500 0.000
Li2 0.658 0.342 0.500
Li3 0.000 0.000 0.500
Li4 0.342 0.658 0.500
Mo1 0.833 0.167 0.000
Mo2 0.167 0.833 0.000
O1 0.579 0.927 0.763
O2 0.073 0.421 0.237
O3 0.768 0.768 0.239
O4 0.421 0.073 0.237
O5 0.232 0.232 0.761
O6 0.927 0.579 0.763

=====

Q: Which of them is the most stable? A: <three>.

=====

<one>
# LiMoO2, relaxed, DFT PBE+U
# Volume ... 85 Å³/cell
# Calculated density ... 5.26 g/cm³
data_LiMoO2
_chemical_formula_sum 'Li2 Mo2 O4'
_cell_length_a 3.181
_cell_length_b 5.084
_cell_length_c 5.264
_cell_angle_alpha 90.00
_cell_angle_beta 90.00
_cell_angle_gamma 90.00
_symmetry_space_group_name_H-M 'P 1'
_symmetry_Int_Tables_number 1
_symmetry_space_group_name_Hall 'P 1'
loop_
_atom_site_label
_atom_site_fract_x
_atom_site_fract_y
_atom_site_fract_z
O1 0.000 0.829 0.231
O2 0.000 0.171 0.769
O3 0.500 0.329 0.269
O4 0.500 0.671 0.731
Li1 0.000 0.500 0.000
Li2 0.500 0.000 0.500
Mo1 0.500 0.000 0.000
Mo2 0.000 0.500 0.500

=====

<two>
# LiMoO2, relaxed, DFT PBE+U
# Volume ... 81 Å³/cell
# Calculated density ... 5.54 g/cm³
data_LiMoO2
_chemical_formula_sum 'Li2 Mo2 O4'
_cell_length_a 5.486
_cell_length_b 5.486
_cell_length_c 4.996
_cell_angle_alpha 81.44
_cell_angle_beta 81.44
_cell_angle_gamma 32.94
_symmetry_space_group_name_H-M 'P 1'
_symmetry_Int_Tables_number 1
_symmetry_space_group_name_Hall 'P 1'
loop_
_atom_site_label
_atom_site_fract_x
_atom_site_fract_y
_atom_site_fract_z
Li1 0.000 0.000 0.000
Li2 0.500 0.500 0.500
O1 0.386 0.386 0.859
O2 0.859 0.859 0.371
O3 0.614 0.614 0.141
O4 0.141 0.141 0.629
Mo1 0.247 0.247 0.217
Mo2 0.753 0.753 0.783

=====

Q: Which of them is the most stable? A: <one>.

=====

<one>
# LiMoO2, relaxed, DFT PBE+U
# Volume ... 44 Å³/cell
# Calculated density ... 5.08 g/cm³
data_LiMoO2
_chemical_formula_sum 'Li1 Mo1 O2'
_cell_length_a 5.274
_cell_length_b 5.274
_cell_length_c 5.274
_cell_angle_alpha 35.46
_cell_angle_beta 35.46
_cell_angle_gamma 35.46
_symmetry_space_group_name_H-M 'P 1'
_symmetry_Int_Tables_number 1
_symmetry_space_group_name_Hall 'P 1'
loop_
_atom_site_label
_atom_site_fract_x
_atom_site_fract_y
_atom_site_fract_z
Mo1 0.000 0.000 0.000
O1 0.745 0.745 0.745
O2 0.255 0.255 0.255
Li1 0.500 0.500 0.500

=====

<two>
# LiMoO2, relaxed, DFT PBE+U
# Volume ... 170 Å³/cell
# Calculated density ... 5.26 g/cm³
data_LiMoO2
_chemical_formula_sum 'Li4 Mo4 O8'
_cell_length_a 5.265
_cell_length_b 6.002
_cell_length_c 6.003
_cell_angle_alpha 63.79
_cell_angle_beta 90.00
_cell_angle_gamma 90.00
_symmetry_space_group_name_H-M 'P 1'
_symmetry_Int_Tables_number 1
_symmetry_space_group_name_Hall 'P 1'
loop_
_atom_site_label
_atom_site_fract_x
_atom_site_fract_y
_atom_site_fract_z
O1 0.234 0.086 0.084
O2 0.233 0.584 0.586
O3 0.733 0.416 0.914
O4 0.766 0.914 0.916
O5 0.266 0.086 0.584
O6 0.767 0.416 0.414
O7 0.734 0.914 0.416
O8 0.267 0.584 0.086
Li1 0.004 0.252 0.252
Li2 0.504 0.748 0.248
Li3 0.996 0.748 0.748
Li4 0.496 0.252 0.752
Mo1 0.498 0.750 0.750
Mo2 0.502 0.250 0.250
Mo3 0.002 0.750 0.250
Mo4 0.998 0.250 0.750

=====

Q: Which of them is the most stable? A: <one>.

=====

<one>
# LiMoP2O7, relaxed, DFT PBE+U
# Volume ... 538 Å³/cell
# Calculated density ... 3.42 g/cm³
data_LiMoP2O7
_chemical_formula_sum 'Li4 Mo4 P8 O28'
_cell_length_a 5.078
_cell_length_b 8.535
_cell_length_c 12.673
_cell_angle_alpha 78.14
_cell_angle_beta 90.00
_cell_angle_gamma 90.00
_symmetry_space_group_name_H-M 'P 1'
_symmetry_Int_Tables_number 1
_symmetry_space_group_name_Hall 'P 1'
loop_
_atom_site_label
_atom_site_fract_x
_atom_site_fract_y
_atom_site_fract_z
P1 0.238 0.921 0.380
P2 0.262 0.421 0.880
P3 0.262 0.529 0.647
P4 0.738 0.471 0.353
P5 0.762 0.079 0.620
P6 0.738 0.579 0.120
P7 0.238 0.029 0.147
P8 0.762 0.971 0.853
O1 0.614 0.215 0.550
O2 0.886 0.715 0.050
O3 0.857 0.412 0.121
O4 0.643 0.912 0.621
O5 0.790 0.601 0.242
O6 0.357 0.088 0.379
O7 0.953 0.087 0.160
O8 0.560 0.415 0.903
O9 0.931 0.328 0.356
O10 0.569 0.828 0.856
O11 0.712 0.059 0.941
O12 0.788 0.559 0.441
O13 0.047 0.913 0.840
O14 0.288 0.941 0.059
O15 0.440 0.585 0.097
O16 0.069 0.672 0.644
O17 0.386 0.785 0.450
O18 0.060 0.085 0.597
O19 0.453 0.413 0.340
O20 0.212 0.441 0.559
O21 0.143 0.588 0.879
O22 0.710 0.101 0.742
O23 0.114 0.285 0.950
O24 0.431 0.172 0.144
O25 0.210 0.399 0.758
O26 0.547 0.587 0.660
O27 0.290 0.899 0.258
O28 0.940 0.915 0.403
Mo1 0.745 0.738 0.530
Mo2 0.255 0.262 0.470
Mo3 0.755 0.238 0.030
Mo4 0.245 0.762 0.970
Li1 0.259 0.882 0.698
Li2 0.241 0.382 0.198
Li3 0.741 0.118 0.302
Li4 0.759 0.618 0.802

=====

<two>
# LiMoP2O7, relaxed, DFT PBE+U
# Volume ... 507 Å³/cell
# Calculated density ... 3.62 g/cm³
data_LiMoP2O7
_chemical_formula_sum 'Li4 Mo4 P8 O28'
_cell_length_a 8.503
_cell_length_b 7.148
_cell_length_c 9.039
_cell_angle_alpha 67.49
_cell_angle_beta 90.00
_cell_angle_gamma 90.00
_symmetry_space_group_name_H-M 'P 1'
_symmetry_Int_Tables_number 1
_symmetry_space_group_name_Hall 'P 1'
loop_
_atom_site_label
_atom_site_fract_x
_atom_site_fract_y
_atom_site_fract_z
O1 0.620 0.424 0.692
O2 0.410 0.106 0.877
O3 0.903 0.360 0.158
O4 0.097 0.640 0.842
O5 0.342 0.150 0.600
O6 0.764 0.662 0.951
O7 0.766 0.080 0.804
O8 0.380 0.576 0.308
O9 0.880 0.924 0.192
O10 0.264 0.838 0.549
O11 0.236 0.338 0.049
O12 0.389 0.665 0.910
O13 0.403 0.140 0.342
O14 0.090 0.606 0.377
O15 0.234 0.920 0.196
O16 0.611 0.335 0.090
O17 0.736 0.162 0.451
O18 0.590 0.894 0.123
O19 0.889 0.835 0.590
O20 0.266 0.420 0.696
O21 0.120 0.076 0.808
O22 0.111 0.165 0.410
O23 0.158 0.650 0.100
O24 0.597 0.860 0.658
O25 0.910 0.394 0.623
O26 0.658 0.850 0.400
O27 0.842 0.350 0.900
O28 0.734 0.580 0.304
Mo1 0.080 0.627 0.613
Mo2 0.580 0.873 0.887
Mo3 0.920 0.373 0.387
Mo4 0.420 0.127 0.113
P1 0.729 0.813 0.248
P2 0.229 0.687 0.252
P3 0.228 0.571 0.969
P4 0.771 0.313 0.748
P5 0.728 0.929 0.531
P6 0.271 0.187 0.752
P7 0.272 0.071 0.469
P8 0.772 0.429 0.031
Li1 0.546 0.379 0.334
Li2 0.954 0.879 0.834
Li3 0.454 0.621 0.666
Li4 0.046 0.121 0.166

=====

<three>
# LiMoP2O7, relaxed, DFT PBE+U
# Volume ... 533 Å³/cell
# Calculated density ... 3.45 g/cm³
data_LiMoP2O7
_chemical_formula_sum 'Li4 Mo4 P8 O28'
_cell_length_a 13.434
_cell_length_b 13.434
_cell_length_c 13.764
_cell_angle_alpha 27.65
_cell_angle_beta 27.65
_cell_angle_gamma 36.82
_symmetry_space_group_name_H-M 'P 1'
_symmetry_Int_Tables_number 1
_symmetry_space_group_name_Hall 'P 1'
loop_
_atom_site_label
_atom_site_fract_x
_atom_site_fract_y
_atom_site_fract_z
Li1 0.630 0.911 0.113
Li2 0.089 0.370 0.387
Li3 0.370 0.089 0.887
Li4 0.911 0.630 0.613
O1 0.594 0.266 0.117
O2 0.438 0.774 0.170
O3 0.408 0.816 0.634
O4 0.734 0.406 0.383
O5 0.925 0.806 0.792
O6 0.386 0.320 0.101
O7 0.194 0.075 0.708
O8 0.266 0.594 0.617
O9 0.045 0.715 0.554
O10 0.806 0.925 0.292
O11 0.184 0.592 0.866
O12 0.955 0.285 0.446
O13 0.699 0.069 0.606
O14 0.614 0.680 0.899
O15 0.406 0.734 0.883
O16 0.774 0.438 0.670
O17 0.320 0.386 0.601
O18 0.680 0.614 0.399
O19 0.931 0.301 0.894
O20 0.069 0.699 0.106
O21 0.075 0.194 0.208
O22 0.301 0.931 0.394
O23 0.816 0.408 0.134
O24 0.226 0.562 0.330
O25 0.285 0.955 0.946
O26 0.592 0.184 0.366
O27 0.715 0.045 0.054
O28 0.562 0.226 0.830
P1 0.618 0.267 0.980
P2 0.160 0.739 0.672
P3 0.267 0.618 0.480
P4 0.382 0.733 0.020
P5 0.733 0.382 0.520
P6 0.739 0.160 0.172
P7 0.840 0.261 0.328
P8 0.261 0.840 0.828
Mo1 0.757 0.734 0.870
Mo2 0.734 0.757 0.370
Mo3 0.243 0.266 0.130
Mo4 0.266 0.243 0.630

=====

Q: Which of them is the most stable? A: <three>.